SmErZn2 | PBE | relaxed

Cell lengths 7.1868, 7.1868, 7.1868 Å; angles 90.00, 90.00, 90.00 degrees
Closest atoms and distances in Å follow each position.
Space group Fm-3m (No. 225)
Unique sites:
Sm (0.0000, 0.0000, 0.0000) (multiplicity 4)  8 Zn 3.11
Er (0.0000, 0.0000, 0.5000) (multiplicity 4)  8 Zn 3.11
Zn (0.2500, 0.2500, 0.2500) (multiplicity 8)  4 Er 3.11, 4 Sm 3.11

Volume, Å³ per cell: 371
DFT formation energy, meV per atom: -336